Material: EuFe2P2
Method: DFT, r²SCAN
State: optimized geometry

Unit cell a=6.025 b=6.025 c=6.025 alpha=143.48 beta=143.48 gamma=52.61
Atoms (fractional coordinates):
Eu 0.000 0.000 0.000
Fe 0.250 0.750 0.500
Fe 0.750 0.250 0.500
P 0.349 0.349 0.000
P 0.651 0.651 0.000

Properties
The value obtained for the calculated formation energy is -0.775 eV per atom. Its space group is I4/mmm. The calculation puts the energy at -17.846 eV/atom.